No. 1
VASP calculation (PBE) on Na5Bi2AsC4O16 after structural relaxation.

Unit cell a=10.520 b=10.495 c=10.409 alpha=60.43 beta=60.19 gamma=59.38
Fractional positions:
O1 0.335 0.962 0.475
O2 0.921 0.775 0.009
O3 0.294 0.009 0.775
O4 0.921 0.024 0.290
O5 0.293 0.909 0.024
O6 0.228 0.475 0.962
O7 0.909 0.293 0.775
O8 0.775 0.024 0.909
O9 0.973 0.466 0.339
O10 0.336 0.477 0.225
O11 0.961 0.225 0.477
O12 0.290 0.765 0.921
O13 0.683 0.683 0.683
O14 0.024 0.921 0.765
O15 0.683 0.683 0.952
O16 0.962 0.335 0.228
O17 0.024 0.775 0.293
O18 0.297 0.584 0.559
O19 0.683 0.952 0.683
O20 0.339 0.222 0.973
O21 0.466 0.973 0.222
O22 0.559 0.559 0.297
O23 0.559 0.559 0.584
O24 0.222 0.339 0.466
O25 0.765 0.290 0.024
O26 0.584 0.297 0.559
O27 0.475 0.228 0.335
O28 0.477 0.336 0.961
O29 0.775 0.921 0.294
O30 0.952 0.683 0.683
O31 0.009 0.294 0.921
O32 0.225 0.961 0.336
C1 0.895 0.291 0.907
C2 0.965 0.343 0.348
C3 0.345 0.348 0.343
C4 0.348 0.345 0.965
C5 0.906 0.907 0.291
C6 0.907 0.906 0.895
C7 0.343 0.965 0.345
C8 0.291 0.895 0.906
Na1 0.554 0.946 0.946
Na2 0.554 0.554 0.946
Na3 0.305 0.695 0.695
Na4 0.695 0.305 0.305
Na5 0.946 0.554 0.946
Na6 0.946 0.554 0.554
Na7 0.554 0.946 0.554
Na8 0.306 0.694 0.306
Na9 0.694 0.306 0.694
Na10 0.946 0.946 0.554
Bi1 0.130 0.129 0.117
Bi2 0.624 0.117 0.129
Bi3 0.129 0.130 0.624
Bi4 0.117 0.624 0.130
As1 0.750 0.750 0.750
As2 0.500 0.500 0.500

Properties
Its excess energy over the best structure of this formula in the dataset is 3 meV/atom. The space group is F222. The formation energy comes out at -1861 meV/atom.

=====

No. 2
VASP calculation (PBE) on Ca2Bi2O5 after structural relaxation.

Unit cell a=10.236 b=10.284 c=10.663 alpha=107.27 beta=116.96 gamma=93.73
Fractional positions:
O1 0.603 0.621 0.137
O2 0.167 0.892 0.765
O3 0.571 0.085 0.923
O4 0.652 0.170 0.405
O5 0.930 0.633 0.348
O6 0.280 0.619 0.784
O7 0.942 0.139 0.726
O8 0.720 0.381 0.216
O9 0.193 0.539 0.318
O10 0.348 0.830 0.595
O11 0.826 0.903 0.432
O12 0.429 0.915 0.077
O13 0.833 0.108 0.235
O14 0.070 0.367 0.652
O15 0.058 0.861 0.274
O16 0.896 0.323 0.069
O17 0.618 0.920 0.577
O18 0.174 0.097 0.568
O19 0.693 0.838 0.964
O20 0.169 0.412 0.001
O21 0.363 0.732 0.261
O22 0.104 0.677 0.931
O23 0.478 0.444 0.295
O24 0.637 0.268 0.739
O25 0.382 0.080 0.423
O26 0.397 0.379 0.863
O27 0.807 0.461 0.682
O28 0.522 0.556 0.705
O29 0.831 0.588 0.999
O30 0.307 0.162 0.036
Ca1 0.521 0.942 0.338
Ca2 0.102 0.660 0.146
Ca3 0.346 0.593 0.024
Ca4 0.654 0.407 0.976
Ca5 0.798 0.785 0.183
Ca6 0.571 0.168 0.160
Ca7 0.429 0.832 0.840
Ca8 0.893 0.152 0.484
Ca9 0.202 0.215 0.817
Ca10 0.107 0.848 0.516
Ca11 0.479 0.058 0.662
Ca12 0.898 0.340 0.854
Bi1 0.249 0.336 0.179
Bi2 0.307 0.425 0.667
Bi3 0.574 0.312 0.534
Bi4 0.751 0.664 0.821
Bi5 0.022 0.573 0.696
Bi6 0.978 0.427 0.304
Bi7 0.426 0.688 0.466
Bi8 0.150 0.076 0.353
Bi9 0.850 0.924 0.647
Bi10 0.794 0.059 0.013
Bi11 0.693 0.575 0.333
Bi12 0.206 0.941 0.987

Properties
Its excess energy over the best structure of this formula in the dataset is 0 meV/atom. The space group is P-1. The formation energy comes out at -2392 meV/atom.

=====

No. 3
VASP calculation (PBE) on HfGa4Co after structural relaxation.

Unit cell a=4.096 b=4.096 c=6.407 alpha=90.00 beta=90.00 gamma=90.00
Fractional positions:
Co1 0.000 0.000 0.500
Hf1 0.000 0.000 0.000
Ga1 0.500 0.000 0.293
Ga2 0.000 0.500 0.707
Ga3 0.000 0.500 0.293
Ga4 0.500 0.000 0.707

Properties
The space group is P4/mmm. The formation energy comes out at -247 meV/atom.

=====

No. 4
VASP calculation (PBE) on RbMgN after structural relaxation.

Unit cell a=10.745 b=3.923 c=6.992 alpha=90.00 beta=90.00 gamma=90.00
Fractional positions:
Rb1 0.837 0.750 0.545
Rb2 0.663 0.250 0.045
Rb3 0.337 0.750 0.955
Rb4 0.163 0.250 0.455
N1 0.442 0.250 0.329
N2 0.058 0.750 0.829
N3 0.558 0.750 0.671
N4 0.942 0.250 0.171
Mg1 0.039 0.250 0.895
Mg2 0.461 0.750 0.395
Mg3 0.961 0.750 0.105
Mg4 0.539 0.250 0.605

Properties
The space group is Pnma. The formation energy comes out at -199 meV/atom.

=====

No. 5
VASP calculation (PBE) on Ag2GeSe3 after structural relaxation.

Unit cell a=7.318 b=7.318 c=6.911 alpha=90.00 beta=90.00 gamma=120.27
Fractional positions:
Ag1 0.690 0.012 0.492
Ag2 0.988 0.310 0.992
Ag3 0.310 0.988 0.992
Ag4 0.012 0.690 0.492
Ge1 0.653 0.653 0.962
Ge2 0.347 0.347 0.462
Se1 0.355 0.039 0.371
Se2 0.338 0.338 0.829
Se3 0.961 0.645 0.871
Se4 0.645 0.961 0.871
Se5 0.662 0.662 0.329
Se6 0.039 0.355 0.371

Properties
The space group is Cmc2_1. The formation energy comes out at -428 meV/atom.

=====

No. 6
VASP calculation (PBE) on Li7Y7ZrS16 after structural relaxation.

Unit cell a=15.541 b=6.572 c=6.751 alpha=70.15 beta=90.00 gamma=90.00
Fractional positions:
S1 0.000 0.740 0.733
S2 0.751 0.247 0.248
S3 0.120 0.260 0.738
S4 0.880 0.260 0.738
S5 0.375 0.248 0.751
S6 0.000 0.260 0.267
S7 0.120 0.740 0.262
S8 0.751 0.753 0.752
S9 0.500 0.248 0.251
S10 0.249 0.247 0.248
S11 0.249 0.753 0.752
S12 0.625 0.248 0.751
S13 0.880 0.740 0.262
S14 0.375 0.752 0.249
S15 0.625 0.752 0.249
S16 0.500 0.752 0.749
Y1 0.248 0.500 0.500
Y2 0.752 0.500 0.500
Y3 0.877 0.500 0.000
Y4 0.625 0.500 0.000
Y5 0.123 0.500 0.000
Y6 0.375 0.500 0.000
Y7 0.500 0.500 0.500
Zr1 0.000 0.500 0.500
Li1 0.749 0.000 0.000
Li2 0.500 0.000 0.000
Li3 0.251 0.000 0.000
Li4 0.124 0.000 0.500
Li5 0.375 0.000 0.500
Li6 0.876 0.000 0.500
Li7 0.625 0.000 0.500

Properties
The space group is P2/m. The formation energy comes out at -2069 meV/atom.

=====

No. 7
VASP calculation (PBE) on YCr4Fe8 after structural relaxation.

Unit cell a=4.713 b=6.341 c=6.341 alpha=82.06 beta=68.18 gamma=68.18
Fractional positions:
Fe1 0.500 0.773 0.227
Fe2 0.500 0.500 0.000
Fe3 0.000 0.000 0.500
Fe4 0.727 0.773 0.773
Fe5 0.500 0.227 0.773
Fe6 0.500 0.000 0.500
Fe7 0.273 0.227 0.227
Fe8 0.000 0.500 0.000
Cr1 0.000 0.368 0.632
Cr2 0.000 0.632 0.368
Cr3 0.632 0.368 0.368
Cr4 0.368 0.632 0.632
Y1 0.000 0.000 0.000

Properties
The space group is I4/mmm. The formation energy comes out at 5 meV/atom.

=====

No. 8
VASP calculation (PBE) on ScUS3 after structural relaxation.

Unit cell a=6.375 b=6.375 c=9.142 alpha=90.00 beta=90.00 gamma=146.07
Fractional positions:
U1 0.249 0.751 0.250
U2 0.751 0.249 0.750
S1 0.142 0.858 0.564
S2 0.142 0.858 0.936
S3 0.858 0.142 0.064
S4 0.415 0.585 0.750
S5 0.858 0.142 0.436
S6 0.585 0.415 0.250
Sc1 0.500 0.500 0.500
Sc2 0.500 0.500 0.000

Properties
The space group is Cmcm. The formation energy comes out at -1968 meV/atom.

=====

No. 9
VASP calculation (PBE) on Co2As after structural relaxation.

Unit cell a=5.987 b=5.987 c=3.539 alpha=90.00 beta=90.00 gamma=120.00
Fractional positions:
As1 0.667 0.333 0.000
As2 0.000 0.000 0.500
As3 0.333 0.667 0.000
Co1 0.598 0.000 0.500
Co2 0.256 0.000 0.000
Co3 0.000 0.256 0.000
Co4 0.744 0.744 0.000
Co5 0.402 0.402 0.500
Co6 0.000 0.598 0.500

Properties
The space group is P-62m. The formation energy comes out at -129 meV/atom.

=====

No. 10
VASP calculation (PBE) on Tm2P4O13 after structural relaxation.

Unit cell a=6.848 b=6.848 c=12.892 alpha=75.84 beta=75.84 gamma=58.97
Fractional positions:
O1 0.897 0.909 0.153
O2 0.671 0.317 0.442
O3 0.926 0.560 0.593
O4 0.307 0.295 0.722
O5 0.329 0.683 0.558
O6 0.924 0.574 0.095
O7 0.909 0.897 0.653
O8 0.705 0.693 0.778
O9 0.426 0.076 0.405
O10 0.091 0.103 0.347
O11 0.317 0.671 0.942
O12 0.898 0.876 0.897
O13 0.560 0.926 0.093
O14 0.876 0.898 0.397
O15 0.752 0.248 0.250
O16 0.124 0.102 0.603
O17 0.440 0.074 0.907
O18 0.076 0.426 0.905
O19 0.074 0.440 0.407
O20 0.295 0.307 0.222
O21 0.103 0.091 0.847
O22 0.248 0.752 0.750
O23 0.693 0.705 0.278
O24 0.574 0.924 0.595
O25 0.102 0.124 0.103
O26 0.683 0.329 0.058
P1 0.227 0.241 0.340
P2 0.163 0.861 0.633
P3 0.861 0.163 0.133
P4 0.139 0.837 0.867
P5 0.837 0.139 0.367
P6 0.759 0.773 0.160
P7 0.241 0.227 0.840
P8 0.773 0.759 0.660
Tm1 0.308 0.303 0.551
Tm2 0.697 0.692 0.949
Tm3 0.303 0.308 0.051
Tm4 0.692 0.697 0.449

Properties
Its excess energy over the best structure of this formula in the dataset is 41 meV/atom. The space group is C2/c. The formation energy comes out at -3137 meV/atom.

=====

No. 11
VASP calculation (PBE) on Ge after structural relaxation.

Unit cell a=5.966 b=6.120 c=6.120 alpha=70.02 beta=71.04 gamma=108.96
Fractional positions:
Ge1 0.714 0.000 0.000
Ge2 0.470 0.497 0.808
Ge3 0.973 0.695 0.497
Ge4 0.722 0.192 0.305
Ge5 0.278 0.808 0.695
Ge6 0.286 0.000 0.000
Ge7 0.027 0.305 0.503
Ge8 0.530 0.503 0.192

Properties
Its excess energy over the best structure of this formula in the dataset is 148 meV/atom. The space group is R-3. The formation energy comes out at 148 meV/atom.

=====

No. 12
VASP calculation (PBE) on BaC2O4 after structural relaxation.

Unit cell a=6.861 b=8.482 c=8.742 alpha=90.00 beta=90.00 gamma=90.00
Fractional positions:
O1 0.772 0.404 0.167
O2 0.728 0.596 0.667
O3 0.583 0.076 0.901
O4 0.083 0.424 0.099
O5 0.297 0.682 0.911
O6 0.703 0.182 0.589
O7 0.203 0.318 0.411
O8 0.417 0.576 0.599
O9 0.917 0.924 0.401
O10 0.228 0.904 0.333
O11 0.989 0.303 0.676
O12 0.272 0.096 0.833
O13 0.489 0.197 0.324
O14 0.011 0.803 0.824
O15 0.511 0.697 0.176
O16 0.797 0.818 0.089
C1 0.400 0.074 0.943
C2 0.850 0.239 0.630
C3 0.350 0.261 0.370
C4 0.600 0.574 0.557
C5 0.100 0.926 0.443
C6 0.150 0.739 0.870
C7 0.650 0.761 0.130
C8 0.900 0.426 0.057
Ba1 0.959 0.589 0.403
Ba2 0.541 0.411 0.903
Ba3 0.459 0.911 0.597
Ba4 0.041 0.089 0.097

Properties
Its excess energy over the best structure of this formula in the dataset is 482 meV/atom. The space group is P2_12_12_1. The formation energy comes out at -1734 meV/atom.

=====

Number 1: DFT total energy -352.48 eV/cell. Number 2: DFT total energy -327.74 eV/cell. Number 3: DFT total energy -30.66 eV/cell. Number 4: DFT total energy -44.62 eV/cell. Number 5: DFT total energy -43.85 eV/cell. Number 6: DFT total energy -189.43 eV/cell. Number 7: DFT total energy -112.77 eV/cell. Number 8: DFT total energy -76.72 eV/cell. Number 9: DFT total energy -57.79 eV/cell. Number 10: DFT total energy -291.19 eV/cell. Number 11: DFT total energy -35.80 eV/cell. Number 12: DFT total energy -198.24 eV/cell.